1.
Material: MnAs2F12
Method: DFT, r²SCAN
State: optimized geometry

a b c (Å): 9.255 9.255 9.255
angles (deg): 132.57 132.57 69.34
Fractional coordinates of all 30 atoms:
1 Mn 0.000 0.000 0.000
2 Mn 0.750 0.250 0.500
3 As 0.219 0.219 0.000
4 As 0.531 0.031 0.500
5 As 0.781 0.781 0.000
6 As 0.969 0.469 0.500
7 F 0.020 0.910 0.195
8 F 0.032 0.696 0.796
9 F 0.035 0.340 0.610
10 F 0.090 0.285 0.110
11 F 0.175 0.980 0.890
12 F 0.206 0.498 0.615
13 F 0.248 0.456 0.115
14 F 0.304 0.100 0.337
15 F 0.341 0.133 0.885
16 F 0.409 0.794 0.292
17 F 0.446 0.282 0.296
18 F 0.502 0.117 0.708
19 F 0.544 0.659 0.792
20 F 0.575 0.965 0.305
21 F 0.660 0.270 0.695
22 F 0.715 0.825 0.805
23 F 0.718 0.014 0.163
24 F 0.730 0.425 0.390
25 F 0.764 0.968 0.663
26 F 0.850 0.554 0.837
27 F 0.867 0.752 0.208
28 F 0.883 0.591 0.385
29 F 0.900 0.236 0.204
30 F 0.986 0.150 0.704

Calculated values
Raw total energy ... -7.82 eV/atom
ΔH_f (0 K) ... -2.380 eV per atom

=====

2.
Material: NaAsF6
Method: DFT, r²SCAN
State: optimized geometry

a b c (Å): 5.551 5.551 5.551
angles (deg): 54.65 54.65 54.65
Fractional coordinates of all 8 atoms:
1 Na 0.000 0.000 0.000
2 As 0.500 0.500 0.500
3 F 0.152 0.424 0.710
4 F 0.290 0.848 0.576
5 F 0.424 0.710 0.152
6 F 0.576 0.290 0.848
7 F 0.710 0.152 0.424
8 F 0.848 0.576 0.290

Calculated values
Raw total energy ... -7.18 eV/atom
ΔH_f (0 K) ... -2.551 eV per atom

=====

3.
Material: NaAsF6
Method: DFT, r²SCAN
State: optimized geometry

a b c (Å): 5.633 5.633 5.633
angles (deg): 60.00 60.00 60.00
Fractional coordinates of all 8 atoms:
1 Na 0.000 0.000 0.000
2 As 0.500 0.500 0.500
3 F 0.282 0.282 0.718
4 F 0.282 0.718 0.282
5 F 0.282 0.718 0.718
6 F 0.718 0.282 0.282
7 F 0.718 0.282 0.718
8 F 0.718 0.718 0.282

Calculated values
Raw total energy ... -7.17 eV/atom
ΔH_f (0 K) ... -2.541 eV per atom

=====

4.
Material: Rb2NaAsF6
Method: DFT, r²SCAN
State: optimized geometry

a b c (Å): 6.081 6.081 6.081
angles (deg): 60.00 60.00 60.00
Fractional coordinates of all 10 atoms:
1 Rb 0.250 0.250 0.250
2 Rb 0.750 0.750 0.750
3 Na 0.000 0.000 0.000
4 As 0.500 0.500 0.500
5 F 0.261 0.261 0.739
6 F 0.261 0.739 0.261
7 F 0.261 0.739 0.739
8 F 0.739 0.261 0.261
9 F 0.739 0.261 0.739
10 F 0.739 0.739 0.261

Calculated values
Raw total energy ... -9.18 eV/atom
ΔH_f (0 K) ... -2.688 eV per atom

=====

5.
Material: RbAsF6
Method: DFT, r²SCAN
State: optimized geometry

a b c (Å): 4.955 4.955 4.955
angles (deg): 97.21 97.21 97.21
Fractional coordinates of all 8 atoms:
1 Rb 0.000 0.000 0.000
2 As 0.500 0.500 0.500
3 F 0.212 0.300 0.577
4 F 0.300 0.577 0.212
5 F 0.423 0.788 0.700
6 F 0.577 0.212 0.300
7 F 0.700 0.423 0.788
8 F 0.788 0.700 0.423

Calculated values
Raw total energy ... -8.54 eV/atom
ΔH_f (0 K) ... -2.613 eV per atom

=====

6.
Material: TlAsF6
Method: DFT, r²SCAN
State: optimized geometry

a b c (Å): 4.962 4.962 4.962
angles (deg): 97.15 97.15 97.15
Fractional coordinates of all 8 atoms:
1 Tl 0.000 0.000 0.000
2 As 0.500 0.500 0.500
3 F 0.211 0.577 0.302
4 F 0.302 0.211 0.577
5 F 0.423 0.698 0.789
6 F 0.577 0.302 0.211
7 F 0.698 0.789 0.423
8 F 0.789 0.423 0.698

Calculated values
Raw total energy ... -13.13 eV/atom
ΔH_f (0 K) ... -2.297 eV per atom

=====

7.
Material: FeAs2
Method: DFT, r²SCAN
State: optimized geometry

a b c (Å): 5.246 5.960 2.874
angles (deg): 90.00 90.00 90.00
Fractional coordinates of all 6 atoms:
1 Fe 0.000 0.000 0.000
2 Fe 0.500 0.500 0.500
3 As 0.179 0.363 0.000
4 As 0.321 0.863 0.500
5 As 0.679 0.137 0.500
6 As 0.821 0.637 0.000

Calculated values
Raw total energy ... -14.75 eV/atom
ΔH_f (0 K) ... -0.139 eV per atom

=====

8.
Material: FeAs
Method: DFT, r²SCAN
State: optimized geometry

a b c (Å): 5.579 3.394 6.024
angles (deg): 90.00 90.06 90.00
Fractional coordinates of all 8 atoms:
1 Fe 0.008 0.250 0.312
2 Fe 0.491 0.750 0.812
3 Fe 0.509 0.250 0.188
4 Fe 0.992 0.750 0.688
5 As 0.194 0.250 0.920
6 As 0.306 0.750 0.420
7 As 0.694 0.250 0.580
8 As 0.806 0.750 0.080

Calculated values
Raw total energy ... -14.60 eV/atom
ΔH_f (0 K) ... -0.035 eV per atom

=====

9.
Material: Ho2FeAs2O
Method: DFT, r²SCAN
State: optimized geometry

a b c (Å): 3.174 3.174 14.560
angles (deg): 90.00 90.00 90.00
Fractional coordinates of all 6 atoms:
1 Ho 0.000 0.000 0.136
2 Ho 0.000 0.000 0.864
3 Fe 0.000 0.000 0.500
4 As 0.000 0.000 0.338
5 As 0.000 0.000 0.662
6 O 0.000 0.000 0.000

Calculated values
Raw total energy ... -19.54 eV/atom
ΔH_f (0 K) ... -0.275 eV per atom

=====

10.
Material: NdFe4As12
Method: DFT, r²SCAN
State: optimized geometry

a b c (Å): 7.184 7.184 7.184
angles (deg): 109.47 109.47 109.47
Fractional coordinates of all 17 atoms:
1 Nd 0.000 0.000 0.000
2 Fe 0.000 0.000 0.500
3 Fe 0.000 0.500 0.000
4 Fe 0.500 0.000 0.000
5 Fe 0.500 0.500 0.500
6 As 0.155 0.498 0.343
7 As 0.155 0.812 0.657
8 As 0.188 0.343 0.845
9 As 0.343 0.155 0.498
10 As 0.343 0.845 0.188
11 As 0.498 0.343 0.155
12 As 0.502 0.657 0.845
13 As 0.657 0.155 0.812
14 As 0.657 0.845 0.502
15 As 0.812 0.657 0.155
16 As 0.845 0.188 0.343
17 As 0.845 0.502 0.657

Calculated values
Raw total energy ... -15.81 eV/atom
ΔH_f (0 K) ... -0.310 eV per atom

=====

11.
Material: FeAsO4
Method: DFT, r²SCAN
State: optimized geometry

a b c (Å): 9.273 9.273 9.273
angles (deg): 108.45 86.14 138.66
Fractional coordinates of all 36 atoms:
1 Fe 0.000 0.000 0.000
2 Fe 0.387 0.000 0.887
3 Fe 0.387 0.500 0.387
4 Fe 0.500 0.000 0.500
5 Fe 0.613 0.000 0.113
6 Fe 0.613 0.500 0.613
7 As 0.177 0.000 0.677
8 As 0.177 0.500 0.177
9 As 0.317 0.067 0.250
10 As 0.683 0.933 0.750
11 As 0.823 0.000 0.323
12 As 0.823 0.500 0.823
13 O 0.079 0.935 0.144
14 O 0.097 0.237 0.421
15 O 0.097 0.676 0.860
16 O 0.226 0.075 0.880
17 O 0.226 0.346 0.151
18 O 0.291 0.935 0.356
19 O 0.305 0.654 0.380
20 O 0.305 0.925 0.651
21 O 0.317 0.237 0.640
22 O 0.317 0.676 0.079
23 O 0.474 0.097 0.123
24 O 0.474 0.351 0.377
25 O 0.526 0.649 0.623
26 O 0.526 0.903 0.877
27 O 0.683 0.324 0.921
28 O 0.683 0.763 0.360
29 O 0.695 0.075 0.349
30 O 0.695 0.346 0.620
31 O 0.709 0.065 0.644
32 O 0.774 0.654 0.849
33 O 0.774 0.925 0.120
34 O 0.903 0.324 0.140
35 O 0.903 0.763 0.579
36 O 0.921 0.065 0.856

Calculated values
Raw total energy ... -10.27 eV/atom
ΔH_f (0 K) ... -1.435 eV per atom

=====

12.
Material: FeAsO4
Method: DFT, r²SCAN
State: optimized geometry

a b c (Å): 5.046 8.144 7.967
angles (deg): 90.00 113.28 90.00
Fractional coordinates of all 24 atoms:
1 Fe 0.091 0.040 0.327
2 Fe 0.091 0.460 0.827
3 Fe 0.909 0.540 0.173
4 Fe 0.909 0.960 0.673
5 As 0.349 0.702 0.574
6 As 0.349 0.798 0.074
7 As 0.651 0.202 0.926
8 As 0.651 0.298 0.426
9 O 0.131 0.627 0.022
10 O 0.131 0.873 0.522
11 O 0.236 0.576 0.390
12 O 0.236 0.924 0.890
13 O 0.308 0.236 0.368
14 O 0.308 0.264 0.868
15 O 0.327 0.602 0.753
16 O 0.327 0.898 0.253
17 O 0.673 0.102 0.747
18 O 0.673 0.398 0.247
19 O 0.692 0.736 0.132
20 O 0.692 0.764 0.632
21 O 0.764 0.076 0.110
22 O 0.764 0.424 0.610
23 O 0.869 0.127 0.478
24 O 0.869 0.373 0.978

Calculated values
Raw total energy ... -10.29 eV/atom
ΔH_f (0 K) ... -1.457 eV per atom

=====

13.
Material: ZnFeAs2O7
Method: DFT, r²SCAN
State: optimized geometry

a b c (Å): 7.264 8.572 9.591
angles (deg): 90.00 114.76 90.00
Fractional coordinates of all 44 atoms:
1 Zn 0.232 0.065 0.114
2 Zn 0.232 0.435 0.614
3 Zn 0.768 0.565 0.386
4 Zn 0.768 0.935 0.886
5 Fe 0.301 0.061 0.671
6 Fe 0.301 0.439 0.171
7 Fe 0.699 0.561 0.829
8 Fe 0.699 0.939 0.329
9 As 0.050 0.739 0.732
10 As 0.050 0.761 0.232
11 As 0.480 0.729 0.037
12 As 0.480 0.771 0.537
13 As 0.520 0.229 0.463
14 As 0.520 0.271 0.963
15 As 0.950 0.239 0.768
16 As 0.950 0.261 0.268
17 O 0.019 0.594 0.605
18 O 0.019 0.906 0.105
19 O 0.107 0.591 0.177
20 O 0.107 0.909 0.677
21 O 0.143 0.250 0.215
22 O 0.143 0.250 0.715
23 O 0.246 0.669 0.900
24 O 0.246 0.831 0.400
25 O 0.360 0.239 0.551
26 O 0.360 0.261 0.051
27 O 0.454 0.599 0.613
28 O 0.454 0.901 0.113
29 O 0.477 0.079 0.339
30 O 0.477 0.421 0.839
31 O 0.523 0.579 0.161
32 O 0.523 0.921 0.661
33 O 0.546 0.099 0.887
34 O 0.546 0.401 0.387
35 O 0.640 0.739 0.949
36 O 0.640 0.761 0.449
37 O 0.754 0.169 0.600
38 O 0.754 0.331 0.100
39 O 0.857 0.750 0.285
40 O 0.857 0.750 0.785
41 O 0.893 0.091 0.323
42 O 0.893 0.409 0.823
43 O 0.981 0.094 0.895
44 O 0.981 0.406 0.395

Calculated values
Raw total energy ... -10.01 eV/atom
ΔH_f (0 K) ... -1.417 eV per atom

=====

14.
Material: PrFe4As12
Method: DFT, r²SCAN
State: optimized geometry

a b c (Å): 7.190 7.190 7.190
angles (deg): 109.47 109.47 109.47
Fractional coordinates of all 17 atoms:
1 Pr 0.000 0.000 0.000
2 Fe 0.000 0.000 0.500
3 Fe 0.000 0.500 0.000
4 Fe 0.500 0.000 0.000
5 Fe 0.500 0.500 0.500
6 As 0.155 0.344 0.499
7 As 0.155 0.656 0.811
8 As 0.189 0.845 0.344
9 As 0.344 0.189 0.845
10 As 0.344 0.499 0.155
11 As 0.499 0.155 0.344
12 As 0.501 0.845 0.656
13 As 0.656 0.501 0.845
14 As 0.656 0.811 0.155
15 As 0.811 0.155 0.656
16 As 0.845 0.344 0.189
17 As 0.845 0.656 0.501

Calculated values
Raw total energy ... -15.81 eV/atom
ΔH_f (0 K) ... -0.310 eV per atom

=====

15.
Material: FeAsS
Method: DFT, r²SCAN
State: optimized geometry

a b c (Å): 5.693 5.639 5.712
angles (deg): 90.00 111.67 90.00
Fractional coordinates of all 12 atoms:
1 Fe 0.213 0.009 0.203
2 Fe 0.213 0.491 0.703
3 Fe 0.787 0.509 0.297
4 Fe 0.787 0.991 0.797
5 As 0.353 0.631 0.128
6 As 0.353 0.869 0.628
7 As 0.647 0.131 0.372
8 As 0.647 0.369 0.872
9 S 0.152 0.130 0.822
10 S 0.152 0.370 0.322
11 S 0.848 0.630 0.678
12 S 0.848 0.870 0.178

Calculated values
Raw total energy ... -12.74 eV/atom
ΔH_f (0 K) ... -0.355 eV per atom

=====

16.
Material: TaFeAs
Method: DFT, r²SCAN
State: optimized geometry

a b c (Å): 6.263 3.726 7.043
angles (deg): 90.00 90.00 90.00
Fractional coordinates of all 12 atoms:
1 Ta 0.020 0.250 0.179
2 Ta 0.480 0.750 0.679
3 Ta 0.520 0.250 0.321
4 Ta 0.980 0.750 0.821
5 Fe 0.141 0.250 0.564
6 Fe 0.359 0.750 0.064
7 Fe 0.641 0.250 0.936
8 Fe 0.859 0.750 0.436
9 As 0.226 0.750 0.381
10 As 0.274 0.250 0.881
11 As 0.726 0.750 0.119
12 As 0.774 0.250 0.619

Calculated values
Raw total energy ... -26.15 eV/atom
ΔH_f (0 K) ... -0.249 eV per atom

=====

17.
Material: UFeAs2
Method: DFT, r²SCAN
State: optimized geometry

a b c (Å): 3.965 3.965 9.556
angles (deg): 90.00 90.00 90.00
Fractional coordinates of all 8 atoms:
1 U 0.250 0.250 0.237
2 U 0.750 0.750 0.763
3 Fe 0.250 0.750 0.500
4 Fe 0.750 0.250 0.500
5 As 0.250 0.250 0.663
6 As 0.250 0.750 0.000
7 As 0.750 0.250 0.000
8 As 0.750 0.750 0.337

Calculated values
Raw total energy ... -31.65 eV/atom
ΔH_f (0 K) ... -0.703 eV per atom

=====

18.
Material: GaAs
Method: DFT, r²SCAN
State: optimized geometry

a b c (Å): 4.066 4.066 4.066
angles (deg): 60.00 60.00 60.00
Fractional coordinates of all 2 atoms:
1 Ga 0.000 0.000 0.000
2 As 0.250 0.250 0.250

Calculated values
Raw total energy ... -13.52 eV/atom
ΔH_f (0 K) ... -0.446 eV per atom

=====

19.
Material: GaAs
Method: DFT, r²SCAN
State: optimized geometry

a b c (Å): 3.994 3.994 6.586
angles (deg): 90.00 90.00 120.00
Fractional coordinates of all 4 atoms:
1 Ga 0.333 0.667 0.000
2 Ga 0.667 0.333 0.500
3 As 0.333 0.667 0.374
4 As 0.667 0.333 0.874

Calculated values
Raw total energy ... -13.52 eV/atom
ΔH_f (0 K) ... -0.441 eV per atom